Entry 1:
DFT (GGA-PBE) results for CeZrO4 after structural relaxation.

a b c (Å): 10.638 10.638 10.638
angles (deg): 90.00 90.00 90.00
Space group P2_13 (No. 198)
One atom of each set of equivalent atoms:
1 Ce 0.123 0.127 0.874 [12 per cell]
2 Ce 0.123 0.377 0.623 [4 per cell]
3 Zr 0.114 0.614 0.886 [4 per cell]
4 Zr 0.125 0.371 0.128 [12 per cell]
5 O 0.000 0.000 0.000 [4 per cell]
6 O 0.000 0.000 0.259 [12 per cell]
7 O 0.000 0.000 0.500 [4 per cell]
8 O 0.001 0.752 0.248 [12 per cell]
9 O 0.002 0.992 0.740 [12 per cell]
10 O 0.020 0.743 0.752 [12 per cell]
11 O 0.231 0.231 0.231 [4 per cell]
12 O 0.244 0.256 0.744 [4 per cell]

Properties
Total energy after the MP2020 corrections   -9.520 eV per atom
Crystal system   cubic

=====

Entry 2:
DFT (GGA-PBE) results for Ce2ZrO6 after structural relaxation.

a b c (Å): 3.785 3.785 16.111
angles (deg): 90.00 90.00 90.00
Space group I4/mmm (No. 139)
One atom of each set of equivalent atoms:
1 Ce 0.000 0.000 0.164 [4 per cell]
2 Zr 0.000 0.000 0.500 [2 per cell]
3 O 0.000 0.500 0.078 [8 per cell]
4 O 0.000 0.500 0.250 [4 per cell]

Properties
Total energy after the MP2020 corrections   -9.403 eV per atom
Crystal system   tetragonal
Relative energy among the computed polymorphs   11 meV per atom

=====

Entry 3:
DFT (GGA-PBE) results for Ce2Zr2O7 after structural relaxation.

a b c (Å): 10.797 10.797 10.797
angles (deg): 90.00 90.00 90.00
Space group Fd-3m (No. 227, origin choice 2)
One atom of each set of equivalent atoms:
1 Ce 0.000 0.000 0.000 [16 per cell]
2 Zr 0.000 0.000 0.500 [16 per cell]
3 O 0.086 0.375 0.875 [48 per cell]
4 O 0.125 0.125 0.125 [8 per cell]

Properties
Total energy after the MP2020 corrections   -9.596 eV per atom
Crystal system   cubic

=====

Entry 4:
DFT (GGA-PBE) results for Ce3ZrO8 after structural relaxation.

a b c (Å): 3.805 3.805 10.852
angles (deg): 90.00 90.00 90.00
Space group P-4m2 (No. 115)
One atom of each set of equivalent atoms:
1 Ce 0.000 0.000 0.000 [1 per cell]
2 Ce 0.500 0.500 0.255 [2 per cell]
3 Zr 0.000 0.000 0.500 [1 per cell]
4 O 0.000 0.500 0.120 [2 per cell]
5 O 0.000 0.500 0.372 [2 per cell]
6 O 0.000 0.500 0.605 [2 per cell]
7 O 0.000 0.500 0.865 [2 per cell]

Properties
Total energy after the MP2020 corrections   -9.350 eV per atom
Crystal system   tetragonal
Relative energy among the computed polymorphs   12 meV per atom

=====

Repeat the first record exactly.
DFT (GGA-PBE) results for CeZrO4 after structural relaxation.

a b c (Å): 10.638 10.638 10.638
angles (deg): 90.00 90.00 90.00
Space group P2_13 (No. 198)
One atom of each set of equivalent atoms:
1 Ce 0.123 0.127 0.874 [12 per cell]
2 Ce 0.123 0.377 0.623 [4 per cell]
3 Zr 0.114 0.614 0.886 [4 per cell]
4 Zr 0.125 0.371 0.128 [12 per cell]
5 O 0.000 0.000 0.000 [4 per cell]
6 O 0.000 0.000 0.259 [12 per cell]
7 O 0.000 0.000 0.500 [4 per cell]
8 O 0.001 0.752 0.248 [12 per cell]
9 O 0.002 0.992 0.740 [12 per cell]
10 O 0.020 0.743 0.752 [12 per cell]
11 O 0.231 0.231 0.231 [4 per cell]
12 O 0.244 0.256 0.744 [4 per cell]

Properties
Total energy after the MP2020 corrections   -9.520 eV per atom
Crystal system   cubic

=====

Question: Among the records above, which one has the highest total energy after the MP2020 corrections?
Answer: Ce3ZrO8

=====

What did the fourth record say?
DFT (GGA-PBE) results for Ce3ZrO8 after structural relaxation.

a b c (Å): 3.805 3.805 10.852
angles (deg): 90.00 90.00 90.00
Space group P-4m2 (No. 115)
One atom of each set of equivalent atoms:
1 Ce 0.000 0.000 0.000 [1 per cell]
2 Ce 0.500 0.500 0.255 [2 per cell]
3 Zr 0.000 0.000 0.500 [1 per cell]
4 O 0.000 0.500 0.120 [2 per cell]
5 O 0.000 0.500 0.372 [2 per cell]
6 O 0.000 0.500 0.605 [2 per cell]
7 O 0.000 0.500 0.865 [2 per cell]

Properties
Total energy after the MP2020 corrections   -9.350 eV per atom
Crystal system   tetragonal
Relative energy among the computed polymorphs   12 meV per atom

=====

Question: Number 4 is which compound?
Answer: Ce3ZrO8